No. 1
# KPb2Br5, relaxed, DFT PBE
# Calculated volume: 1081 Å³/cell
# Space group: P2_1/c (14)
# ΔE_f: -1.477 eV per atom
# Total energy: -3.23 eV/atom
data_KPb2Br5
_chemical_formula_sum 'K4 Pb8 Br20'
_cell_length_a 9.385
_cell_length_b 8.634
_cell_length_c 13.337
_cell_angle_alpha 90.00
_cell_angle_beta 90.24
_cell_angle_gamma 90.00
_space_group_name_H-M_alt 'P 1'
_space_group_IT_number 1
loop_
_space_group_symop_operation_xyz
'x,y,z'
loop_
_atom_site_label
_atom_site_type_symbol
_atom_site_fract_x
_atom_site_fract_y
_atom_site_fract_z
_atom_site_occupancy
K1 K 0.010 0.051 0.327 1
K2 K 0.010 0.449 0.827 1
K3 K 0.990 0.551 0.173 1
K4 K 0.990 0.949 0.673 1
Pb1 Pb 0.244 0.565 0.496 1
Pb2 Pb 0.244 0.935 0.996 1
Pb3 Pb 0.486 0.009 0.675 1
Pb4 Pb 0.486 0.491 0.175 1
Pb5 Pb 0.514 0.509 0.825 1
Pb6 Pb 0.514 0.991 0.325 1
Pb7 Pb 0.756 0.065 0.004 1
Pb8 Pb 0.756 0.435 0.504 1
Br1 Br 0.039 0.179 0.079 1
Br2 Br 0.039 0.321 0.579 1
Br3 Br 0.263 0.148 0.812 1
Br4 Br 0.263 0.352 0.312 1
Br5 Br 0.265 0.685 0.717 1
Br6 Br 0.265 0.815 0.217 1
Br7 Br 0.280 0.542 0.997 1
Br8 Br 0.280 0.958 0.497 1
Br9 Br 0.460 0.162 0.102 1
Br10 Br 0.460 0.338 0.602 1
Br11 Br 0.540 0.662 0.398 1
Br12 Br 0.540 0.838 0.898 1
Br13 Br 0.720 0.042 0.503 1
Br14 Br 0.720 0.458 0.003 1
Br15 Br 0.735 0.185 0.783 1
Br16 Br 0.735 0.315 0.283 1
Br17 Br 0.737 0.648 0.688 1
Br18 Br 0.737 0.852 0.188 1
Br19 Br 0.961 0.679 0.421 1
Br20 Br 0.961 0.821 0.921 1


No. 2
# K2PdBr6, relaxed, DFT PBE
# Calculated volume: 296 Å³/cell
# Space group: Fm-3m (225)
# ΔE_f: -1.312 eV per atom
# Total energy: -2.87 eV/atom
data_K2PdBr6
_chemical_formula_sum 'K2 Pd1 Br6'
_cell_length_a 7.484
_cell_length_b 7.484
_cell_length_c 7.484
_cell_angle_alpha 60.00
_cell_angle_beta 60.00
_cell_angle_gamma 60.00
_space_group_name_H-M_alt 'P 1'
_space_group_IT_number 1
loop_
_space_group_symop_operation_xyz
'x,y,z'
loop_
_atom_site_label
_atom_site_type_symbol
_atom_site_fract_x
_atom_site_fract_y
_atom_site_fract_z
_atom_site_occupancy
K1 K 0.250 0.250 0.250 1
K2 K 0.750 0.750 0.750 1
Pd1 Pd 0.000 0.000 0.000 1
Br1 Br 0.237 0.237 0.763 1
Br2 Br 0.237 0.763 0.237 1
Br3 Br 0.237 0.763 0.763 1
Br4 Br 0.763 0.237 0.237 1
Br5 Br 0.763 0.237 0.763 1
Br6 Br 0.763 0.763 0.237 1


No. 3
# K3PrBr6, relaxed, DFT PBE
# Calculated volume: 438 Å³/cell
# Space group: Fm-3m (225)
# ΔE_f: -2.070 eV per atom
# Total energy: -3.54 eV/atom
data_K3PrBr6
_chemical_formula_sum 'K3 Pr1 Br6'
_cell_length_a 8.526
_cell_length_b 8.526
_cell_length_c 8.526
_cell_angle_alpha 60.00
_cell_angle_beta 60.00
_cell_angle_gamma 60.00
_space_group_name_H-M_alt 'P 1'
_space_group_IT_number 1
loop_
_space_group_symop_operation_xyz
'x,y,z'
loop_
_atom_site_label
_atom_site_type_symbol
_atom_site_fract_x
_atom_site_fract_y
_atom_site_fract_z
_atom_site_occupancy
K1 K 0.000 0.000 0.000 1
K2 K 0.250 0.250 0.250 1
K3 K 0.750 0.750 0.750 1
Pr1 Pr 0.500 0.500 0.500 1
Br1 Br 0.260 0.260 0.740 1
Br2 Br 0.260 0.740 0.260 1
Br3 Br 0.260 0.740 0.740 1
Br4 Br 0.740 0.260 0.260 1
Br5 Br 0.740 0.260 0.740 1
Br6 Br 0.740 0.740 0.260 1


No. 4
# K2PrBr5, relaxed, DFT PBE
# Calculated volume: 1101 Å³/cell
# Space group: Pnma (62)
# ΔE_f: -2.206 eV per atom
# Total energy: -3.77 eV/atom
data_K2PrBr5
_chemical_formula_sum 'K8 Pr4 Br20'
_cell_length_a 13.702
_cell_length_b 9.288
_cell_length_c 8.649
_cell_angle_alpha 90.00
_cell_angle_beta 90.00
_cell_angle_gamma 90.00
_space_group_name_H-M_alt 'P 1'
_space_group_IT_number 1
loop_
_space_group_symop_operation_xyz
'x,y,z'
loop_
_atom_site_label
_atom_site_type_symbol
_atom_site_fract_x
_atom_site_fract_y
_atom_site_fract_z
_atom_site_occupancy
K1 K 0.172 0.005 0.057 1
K2 K 0.172 0.495 0.057 1
K3 K 0.328 0.505 0.557 1
K4 K 0.328 0.995 0.557 1
K5 K 0.672 0.005 0.443 1
K6 K 0.672 0.495 0.443 1
K7 K 0.828 0.505 0.943 1
K8 K 0.828 0.995 0.943 1
Pr1 Pr 0.006 0.250 0.578 1
Pr2 Pr 0.494 0.750 0.078 1
Pr3 Pr 0.506 0.250 0.922 1
Pr4 Pr 0.994 0.750 0.422 1
Br1 Br 0.008 0.250 0.925 1
Br2 Br 0.076 0.545 0.667 1
Br3 Br 0.076 0.955 0.667 1
Br4 Br 0.182 0.250 0.377 1
Br5 Br 0.205 0.750 0.340 1
Br6 Br 0.295 0.250 0.840 1
Br7 Br 0.318 0.750 0.877 1
Br8 Br 0.424 0.045 0.167 1
Br9 Br 0.424 0.455 0.167 1
Br10 Br 0.492 0.750 0.425 1
Br11 Br 0.508 0.250 0.575 1
Br12 Br 0.576 0.545 0.833 1
Br13 Br 0.576 0.955 0.833 1
Br14 Br 0.682 0.250 0.123 1
Br15 Br 0.705 0.750 0.160 1
Br16 Br 0.795 0.250 0.660 1
Br17 Br 0.818 0.750 0.623 1
Br18 Br 0.924 0.045 0.333 1
Br19 Br 0.924 0.455 0.333 1
Br20 Br 0.992 0.750 0.075 1